A relaxed structure of Rb2PuCl6. Source: the Materials Project database, functional PBE.

```
Rb2PuCl6
1.0
7.478 0.000 0.000
-3.739 6.476 0.000
0.000 0.000 12.272
Rb Pu Cl
4 2 12
direct
0.000 0.000 0.000 Rb
0.000 0.000 0.500 Rb
0.333 0.667 0.272 Rb
0.667 0.333 0.772 Rb
0.333 0.667 0.639 Pu
0.667 0.333 0.139 Pu
0.011 0.506 0.514 Cl
0.164 0.328 0.753 Cl
0.164 0.836 0.753 Cl
0.328 0.164 0.253 Cl
0.494 0.506 0.514 Cl
0.494 0.989 0.514 Cl
0.506 0.011 0.014 Cl
0.506 0.494 0.014 Cl
0.672 0.836 0.753 Cl
0.836 0.164 0.253 Cl
0.836 0.672 0.253 Cl
0.989 0.494 0.014 Cl
```

E_tot: -4.9190 eV per atom
space group: No. 186
energy of formation from the pure elements: -2.293 eV per atom
volume: 33.022 Å³ per atom
theoretical density: 3.5 g/cm3

A relaxed structure of CeB4H2ClO8. Source: the Materials Project database, functional PBE.

```
CeB4H2ClO8
1.0
3.307 -5.671 0.000
3.307 5.671 0.000
-2.609 0.000 9.469
Ce B H Cl O
2 8 4 2 16
direct
0.206 0.794 0.500 Ce
0.794 0.206 0.000 Ce
0.137 0.246 0.581 B
0.246 0.137 0.081 B
0.357 0.845 0.151 B
0.501 0.567 0.063 B
0.567 0.501 0.563 B
0.756 0.946 0.627 B
0.845 0.357 0.651 B
0.946 0.756 0.127 B
0.586 0.995 0.350 H
0.922 0.936 0.307 H
0.936 0.922 0.807 H
0.995 0.586 0.850 H
0.319 0.964 0.805 Cl
0.964 0.319 0.305 Cl
0.006 0.976 0.069 O
0.090 0.423 0.622 O
0.102 0.670 0.095 O
0.284 0.354 0.051 O
0.354 0.284 0.551 O
0.418 0.870 0.307 O
0.423 0.090 0.122 O
0.513 0.783 0.082 O
0.554 0.700 0.554 O
0.670 0.102 0.595 O
0.700 0.554 0.054 O
0.783 0.513 0.582 O
0.817 0.968 0.783 O
0.870 0.418 0.807 O
0.968 0.817 0.283 O
0.976 0.006 0.569 O
```

E_tot: -7.3556 eV per atom
space group: No. 9
energy of formation from the pure elements: -2.645 eV per atom
volume: 11.098 Å³ per atom
theoretical density: 3.3 g/cm3